1.
An optimized crystal structure of LiBiB2O5, computed with PBE-GGA.

a = 3.9353 Å, b = 5.6241 Å, c = 17.5662 Å
α = 81.95°, β = 90.00°, γ = 90.00°
Closest atoms and distances in Å follow each position.
Element x y z (fractional)
O  0.4035  0.9959  0.6327  2 B 1.43-1.60
O  0.9491  0.2986  0.2970  1 B 1.46
O  0.5168  0.1154  0.2257  2 B 1.46-1.47
O  0.7368  0.1674  0.0355  1 B 1.38
O  0.2632  0.8326  0.9645  1 B 1.38
O  0.4547  0.4351  0.6093  1 B 1.37
O  0.4491  0.7014  0.2030  1 B 1.46
O  0.9832  0.1154  0.7257  2 B 1.46-1.47
O  0.5453  0.5649  0.3907  1 B 1.37
O  0.0168  0.8846  0.2743  2 B 1.46-1.47
O  0.9547  0.5649  0.8907  1 B 1.37
O  0.4832  0.8846  0.7743  2 B 1.46-1.47
O  0.9035  0.0041  0.8673  2 B 1.43-1.60
O  0.0453  0.4351  0.1093  1 B 1.37
O  0.5509  0.2986  0.7970  1 B 1.46
O  0.0509  0.7014  0.7030  1 B 1.46
O  0.5965  0.0041  0.3673  2 B 1.43-1.60
O  0.0965  0.9959  0.1327  2 B 1.43-1.60
O  0.2368  0.8326  0.4645  1 B 1.38
O  0.7632  0.1674  0.5355  1 B 1.38
B  0.9566  0.2129  0.0927  3 O 1.37-1.43
B  0.2241  0.9237  0.7144  4 O 1.46-1.60
B  0.7759  0.0763  0.2856  4 O 1.46-1.60
B  0.5434  0.2129  0.5927  3 O 1.37-1.43
B  0.4566  0.7871  0.4073  3 O 1.37-1.43
B  0.0434  0.7871  0.9073  3 O 1.37-1.43
B  0.7241  0.0763  0.7856  4 O 1.46-1.60
B  0.2759  0.9237  0.2144  4 O 1.46-1.60
Li  0.7433  0.6043  0.2881  4 O 1.89-1.95
Li  0.7567  0.6043  0.7881  4 O 1.89-1.95
Li  0.2433  0.3957  0.2119  4 O 1.89-1.95
Li  0.2567  0.3957  0.7119  4 O 1.89-1.95
Bi  0.1460  0.2482  0.4162  4 O 2.21-2.47
Bi  0.8540  0.7518  0.5838  4 O 2.21-2.47
Bi  0.6460  0.7518  0.0838  4 O 2.21-2.47
Bi  0.3540  0.2482  0.9162  4 O 2.21-2.47

## Properties
Energy of formation from the pure elements ... -2417 meV per atom
Energy above the lowest structure with this stoichiometry ... 0.028 eV/atom
SG ... P2_1/c
Uncorrected energy ... -6.913 eV/atom

---

2.
An optimized crystal structure of LiBiB2O5, computed with PBE-GGA.

a = 11.3849 Å, b = 5.6286 Å, c = 12.7116 Å
α = 77.99°, β = 90.00°, γ = 90.00°
Closest atoms and distances in Å follow each position.
Element x y z (fractional)
B  0.1245  0.6260  0.0132  3 O 1.36-1.41
B  0.8755  0.3740  0.9868  3 O 1.36-1.41
B  0.6205  0.8549  0.4849  3 O 1.37-1.41
B  0.3746  0.8028  0.6741  3 O 1.37-1.43
B  0.3755  0.1260  0.0132  3 O 1.36-1.41
B  0.6245  0.8740  0.9868  3 O 1.36-1.41
B  0.8839  0.7084  0.8275  3 O 1.37-1.41
B  0.1254  0.3028  0.6741  3 O 1.37-1.43
B  0.8795  0.3549  0.4849  3 O 1.37-1.41
B  0.1205  0.6451  0.5151  3 O 1.37-1.41
B  0.8746  0.6972  0.3259  3 O 1.37-1.43
B  0.6161  0.2084  0.8275  3 O 1.37-1.41
B  0.3795  0.1451  0.5151  3 O 1.37-1.41
B  0.3839  0.7916  0.1725  3 O 1.37-1.41
B  0.6254  0.1972  0.3259  3 O 1.37-1.43
B  0.1161  0.2916  0.1725  3 O 1.37-1.41
O  0.5881  0.6971  0.9355  1 B 1.36
O  0.8393  0.2792  0.5898  1 B 1.39
O  0.3876  0.8770  0.0601  2 B 1.41
O  0.0472  0.0967  0.2221  1 B 1.39
O  0.8681  0.6035  0.4392  2 B 1.41-1.43
O  0.8274  0.3116  0.0894  1 B 1.39
O  0.3091  0.6021  0.7193  1 B 1.38
O  0.3393  0.2208  0.4102  1 B 1.39
O  0.9119  0.1971  0.9355  1 B 1.36
O  0.6726  0.8116  0.0894  1 B 1.39
O  0.1124  0.3770  0.0601  2 B 1.41
O  0.0881  0.8029  0.0645  1 B 1.36
O  0.5544  0.0905  0.2618  1 B 1.37
O  0.9456  0.5905  0.2618  1 B 1.37
O  0.4232  0.3139  0.5681  1 B 1.37
O  0.3274  0.1884  0.9106  1 B 1.39
O  0.6319  0.1035  0.4392  2 B 1.41-1.43
O  0.0768  0.8139  0.5681  1 B 1.37
O  0.5472  0.4033  0.7779  1 B 1.39
O  0.6124  0.1230  0.9399  2 B 1.41
O  0.0544  0.4095  0.7382  1 B 1.37
O  0.3681  0.8965  0.5608  2 B 1.41-1.43
O  0.1726  0.6884  0.9106  1 B 1.39
O  0.4119  0.3029  0.0645  1 B 1.36
O  0.4456  0.9095  0.7382  1 B 1.37
O  0.6895  0.1016  0.7655  1 B 1.37
O  0.8876  0.6230  0.9399  2 B 1.41
O  0.1909  0.1021  0.7193  1 B 1.38
O  0.6909  0.3979  0.2807  1 B 1.38
O  0.4528  0.5967  0.2221  1 B 1.39
O  0.1319  0.3965  0.5608  2 B 1.41-1.43
O  0.9232  0.1861  0.4319  1 B 1.37
O  0.6607  0.7792  0.5898  1 B 1.39
O  0.9528  0.9033  0.7779  1 B 1.39
O  0.5768  0.6861  0.4319  1 B 1.37
O  0.3105  0.8984  0.2345  1 B 1.37
O  0.8105  0.6016  0.7655  1 B 1.37
O  0.8091  0.8979  0.2807  1 B 1.38
O  0.1895  0.3984  0.2345  1 B 1.37
O  0.1607  0.7208  0.4102  1 B 1.39
Bi  0.8839  0.8837  0.1104  6 O 2.34-2.55
Bi  0.6161  0.3837  0.1104  6 O 2.34-2.55
Bi  0.8779  0.8552  0.6072  5 O 2.34-2.53
Bi  0.3839  0.6163  0.8896  6 O 2.34-2.55
Bi  0.1221  0.1448  0.3928  5 O 2.34-2.53
Bi  0.1161  0.1163  0.8896  6 O 2.34-2.55
Bi  0.3779  0.6448  0.3928  5 O 2.34-2.53
Bi  0.6221  0.3552  0.6072  5 O 2.34-2.53
Li  0.6333  0.7544  0.2685  5 O 2.08-2.28
Li  0.8667  0.2544  0.2685  5 O 2.08-2.28
Li  0.8701  0.2531  0.7723  5 O 2.06-2.28
Li  0.3701  0.2469  0.2277  5 O 2.06-2.28
Li  0.1299  0.7469  0.2277  5 O 2.06-2.28
Li  0.6299  0.7531  0.7723  5 O 2.06-2.28
Li  0.3667  0.2456  0.7315  5 O 2.08-2.28
Li  0.1333  0.7456  0.7315  5 O 2.08-2.28

## Properties
Energy of formation from the pure elements ... -2446 meV per atom
Energy above the lowest structure with this stoichiometry ... 0.000 eV/atom
SG ... P2_1/c
Uncorrected energy ... -6.941 eV/atom

---

3.
An optimized crystal structure of Li2Bi2B2O7, computed with PBE-GGA.

a = 6.5034 Å, b = 10.4800 Å, c = 10.5719 Å
α = 61.05°, β = 90.00°, γ = 90.00°
Closest atoms and distances in Å follow each position.
Element x y z (fractional)
Li  0.2198  0.5988  0.4797  3 O 1.98-2.17
Li  0.0922  0.5002  0.2759  2 O 1.93-2.04
Li  0.7198  0.4012  0.0203  3 O 1.98-2.17
Li  0.4078  0.5002  0.7759  2 O 1.93-2.04
Li  0.5922  0.4998  0.2241  2 O 1.93-2.04
Li  0.7802  0.4012  0.5203  3 O 1.98-2.17
Li  0.9078  0.4998  0.7241  2 O 1.93-2.04
Li  0.2802  0.5988  0.9797  3 O 1.98-2.17
O  0.4633  0.1655  0.9036  1 B 1.41
O  0.2435  0.6707  0.6217  1 B 1.37
O  0.7565  0.3293  0.3783  1 B 1.37
O  0.2514  0.8107  0.2475  1 B 1.39
O  0.0367  0.1655  0.4036  1 B 1.41
O  0.7960  0.8114  0.8767  1 B 1.43
O  0.2040  0.1886  0.1233  1 B 1.43
O  0.8519  0.6098  0.3514  1 B 1.37
O  0.8713  0.0185  0.0974  4 Bi 2.28-2.50
O  0.2000  0.4306  0.9252  1 B 1.38
O  0.7040  0.8114  0.3767  1 B 1.43
O  0.2565  0.6707  0.1217  1 B 1.37
O  0.9633  0.8345  0.5964  1 B 1.41
O  0.6287  0.0185  0.5974  4 Bi 2.28-2.50
O  0.3000  0.4306  0.4252  1 B 1.38
O  0.8000  0.5694  0.0748  1 B 1.38
O  0.1481  0.3902  0.6486  1 B 1.37
O  0.7514  0.1893  0.2525  1 B 1.39
O  0.7000  0.5694  0.5748  1 B 1.38
O  0.6481  0.6098  0.8514  1 B 1.37
O  0.2486  0.8107  0.7475  1 B 1.39
O  0.1287  0.9815  0.9026  4 Bi 2.28-2.50
O  0.3713  0.9815  0.4026  4 Bi 2.28-2.50
O  0.2960  0.1886  0.6233  1 B 1.43
O  0.7435  0.3293  0.8783  1 B 1.37
O  0.7486  0.1893  0.7525  1 B 1.39
O  0.3519  0.3902  0.1486  1 B 1.37
O  0.5367  0.8345  0.0964  1 B 1.41
B  0.1515  0.7665  0.6576  3 O 1.37-1.41
B  0.6515  0.2335  0.8424  3 O 1.37-1.41
B  0.7474  0.6607  0.9326  3 O 1.37-1.43
B  0.8485  0.2335  0.3424  3 O 1.37-1.41
B  0.2526  0.3393  0.0674  3 O 1.37-1.43
B  0.3485  0.7665  0.1576  3 O 1.37-1.41
B  0.2474  0.3393  0.5674  3 O 1.37-1.43
B  0.7526  0.6607  0.4326  3 O 1.37-1.43
Bi  0.5449  0.9983  0.1844  4 O 2.28-2.50
Bi  0.0740  0.1999  0.9034  6 O 2.32-2.56
Bi  0.9260  0.8001  0.0966  6 O 2.32-2.56
Bi  0.9551  0.9983  0.6844  4 O 2.28-2.50
Bi  0.4260  0.1999  0.4034  6 O 2.32-2.56
Bi  0.5740  0.8001  0.5966  6 O 2.32-2.56
Bi  0.4551  0.0017  0.8156  4 O 2.28-2.50
Bi  0.0449  0.0017  0.3156  4 O 2.28-2.50

## Properties
Energy of formation from the pure elements ... -2247 meV per atom
Energy above the lowest structure with this stoichiometry ... 0.019 eV/atom
SG ... P2_1/c
Uncorrected energy ... -6.461 eV/atom

---

> The lowest energy of formation from the pure elements belongs to which entry?

number 2